[1]
An optimized crystal structure of Bi2O3, computed with PBE.

Geometry as CIF:
```
data_Bi2O3
_cell_length_a 7.8570
_cell_length_b 7.8570
_cell_length_c 6.1316
_cell_angle_alpha 90.00
_cell_angle_beta 90.00
_cell_angle_gamma 120.00
_space_group_name_H-M_alt 'P 3 1 c'
_space_group_IT_number 159
_space_group_name_Hall 'P 3 -2c'
loop_
_atom_site_label
_atom_site_fract_x
_atom_site_fract_y
_atom_site_fract_z
_atom_site_occupancy
Bi1 0.1455 0.8016 0.0000 1
Bi2 0.3333 0.6667 0.4963 1
O1 0.0758 0.5791 0.7003 1
O2 0.1177 0.2542 0.3786 1
```

## Properties
* crystal system: trigonal



[2]
An optimized crystal structure of Bi2O3, computed with PBE.

Geometry as CIF:
```
data_Bi2O3
_cell_length_a 5.931
_cell_length_b 7.772
_cell_length_c 8.698
_cell_angle_alpha 90.00
_cell_angle_beta 117.39
_cell_angle_gamma 90.00
_space_group_name_H-M_alt 'P 1 21/c 1'
_space_group_IT_number 14
_space_group_name_Hall '-P 2ybc'
loop_
_atom_site_label
_atom_site_fract_x
_atom_site_fract_y
_atom_site_fract_z
_atom_site_occupancy
Bi1 0.059 0.025 0.306 1
Bi2 0.430 0.727 0.653 1
O1 0.054 0.078 0.976 1
O2 0.269 0.512 0.114 1
O3 0.270 0.743 0.857 1
```

## Properties
* M_tot: 0.00 μB/f.u.
* crystal system: monoclinic



[3]
An optimized crystal structure of BiO2, computed with PBE.

Geometry as CIF:
```
data_BiO2
_cell_length_a 12.604
_cell_length_b 6.963
_cell_length_c 15.251
_cell_angle_alpha 90.00
_cell_angle_beta 92.54
_cell_angle_gamma 90.00
_space_group_name_H-M_alt 'C 1 m 1'
_space_group_IT_number 8
_space_group_name_Hall 'C -2y'
loop_
_atom_site_label
_atom_site_fract_x
_atom_site_fract_y
_atom_site_fract_z
_atom_site_occupancy
Bi1 0.000 0.000 0.000 1
Bi2 0.008 0.500 0.131 1
Bi3 0.068 0.252 0.381 1
Bi4 0.136 0.500 0.622 1
Bi5 0.253 0.252 0.004 1
Bi6 0.311 0.000 0.337 1
Bi7 0.320 0.500 0.404 1
Bi8 0.335 0.500 0.818 1
Bi9 0.407 0.244 0.643 1
O1 0.010 0.500 0.295 1
O2 0.047 0.247 0.576 1
O3 0.075 0.248 0.066 1
O4 0.135 0.500 0.458 1
O5 0.152 0.000 0.940 1
O6 0.163 0.000 0.431 1
O7 0.206 0.500 0.905 1
O8 0.211 0.278 0.314 1
O9 0.277 0.280 0.730 1
O10 0.328 0.000 0.584 1
O11 0.343 0.500 0.565 1
O12 0.346 0.000 0.080 1
O13 0.361 0.500 0.075 1
O14 0.405 0.297 0.914 1
O15 0.411 0.213 0.422 1
O16 0.465 0.500 0.728 1
O17 0.488 0.500 0.320 1
O18 0.493 0.000 0.711 1
```

## Properties
* M_tot: 0.00 μB/f.u.
* crystal system: monoclinic



[4]
An optimized crystal structure of BiO, computed with PBE.

Geometry as CIF:
```
data_BiO
_cell_length_a 3.9998
_cell_length_b 3.9998
_cell_length_c 9.3670
_cell_angle_alpha 90.00
_cell_angle_beta 90.00
_cell_angle_gamma 120.00
_space_group_name_H-M_alt 'R 3 m'
_space_group_IT_number 160
_space_group_name_Hall 'R 3 -2"'
loop_
_atom_site_label
_atom_site_fract_x
_atom_site_fract_y
_atom_site_fract_z
_atom_site_occupancy
Bi1 0.0000 0.0000 0.0000 1
O1 0.0000 0.0000 0.2605 1
```

## Properties
* M_tot: 0.00 μB/f.u.
* crystal system: trigonal



[5]
An optimized crystal structure of Bi2O3, computed with PBE.

Geometry as CIF:
```
data_Bi2O3
_cell_length_a 8.075
_cell_length_b 8.075
_cell_length_c 5.727
_cell_angle_alpha 90.00
_cell_angle_beta 90.00
_cell_angle_gamma 90.00
_space_group_name_H-M_alt 'P -4 21 c'
_space_group_IT_number 114
_space_group_name_Hall 'P -4 2n'
loop_
_atom_site_label
_atom_site_fract_x
_atom_site_fract_y
_atom_site_fract_z
_atom_site_occupancy
Bi1 0.033 0.265 0.256 1
O1 0.000 0.500 0.430 1
O2 0.173 0.213 0.569 1
```

## Properties
* crystal system: tetragonal



[6]
An optimized crystal structure of BiO2, computed with PBE.

Geometry as CIF:
```
data_BiO2
_cell_length_a 3.447
_cell_length_b 12.036
_cell_length_c 10.595
_cell_angle_alpha 90.00
_cell_angle_beta 90.00
_cell_angle_gamma 90.00
_space_group_name_H-M_alt 'P m c 21'
_space_group_IT_number 26
_space_group_name_Hall 'P 2c -2'
loop_
_atom_site_label
_atom_site_fract_x
_atom_site_fract_y
_atom_site_fract_z
_atom_site_occupancy
Bi1 0.000 0.120 0.000 1
Bi2 0.000 0.344 0.440 1
Bi3 0.500 0.160 0.642 1
Bi4 0.500 0.363 0.093 1
O1 0.000 0.041 0.577 1
O2 0.000 0.289 0.634 1
O3 0.000 0.297 0.968 1
O4 0.000 0.361 0.243 1
O5 0.500 0.095 0.873 1
O6 0.500 0.173 0.120 1
O7 0.500 0.225 0.439 1
O8 0.500 0.456 0.467 1
```

## Properties
* M_tot: 0.00 μB/f.u.
* crystal system: orthorhombic



Q: Which calculated density values were calculated for the entries above? A: 9.44, 8.69, 7.18, 8.64, 8.29, 7.28, in g cm⁻³.
Q: Which DFT formation energy values were calculated for the entries above? A: -1.60, -1.04, -1.30, -0.88, -1.62, -1.38, in eV per atom.